# 1
This record from Materials Project describes a relaxed NaTc12Br25 crystal. The functional is PBE.

Geometry as POSCAR:
```
NaTc12Br25
1.0
-7.968 -3.845 4.282
-2.494 -5.897 -8.848
3.401 -10.144 4.435
Br Tc Na
25 12 1
direct
0.944 0.958 0.259
0.802 0.969 0.591
0.668 0.742 0.880
0.061 0.159 0.020
0.911 0.532 0.718
0.266 0.792 0.052
0.198 0.031 0.409
0.367 0.592 0.398
0.000 0.500 0.000
0.032 0.723 0.479
0.402 0.037 0.766
0.540 0.218 0.410
0.968 0.277 0.521
0.773 0.643 0.317
0.089 0.468 0.282
0.734 0.208 0.948
0.460 0.782 0.590
0.332 0.258 0.120
0.939 0.841 0.980
0.227 0.357 0.683
0.354 0.578 0.830
0.056 0.042 0.741
0.598 0.963 0.234
0.646 0.422 0.170
0.633 0.408 0.602
0.010 0.857 0.647
0.768 0.297 0.427
0.246 0.880 0.720
0.172 0.747 0.877
0.844 0.428 0.268
0.067 0.273 0.193
0.156 0.572 0.732
0.232 0.703 0.573
0.828 0.253 0.123
0.754 0.120 0.280
0.933 0.727 0.807
0.990 0.143 0.353
0.500 0.000 0.000
```

Computed properties:
Total energy, hartree per atom: -0.179
Formation energy, eV/atom: -0.83

***

# 2
This record from Materials Project describes a relaxed Li2FeS2 crystal. The functional is PBE.

Geometry as POSCAR:
```
Li2FeS2
1.0
-0.188 2.131 -5.360
-5.660 -1.101 -0.239
-1.095 5.176 2.096
S Fe Li
4 2 4
direct
0.272 0.272 0.000
0.272 0.728 0.500
0.728 0.728 0.000
0.728 0.272 0.500
0.500 0.500 0.250
0.500 0.500 0.750
0.000 0.500 0.250
0.500 0.000 0.250
0.500 0.000 0.750
0.000 0.500 0.750
```

Computed properties:
Total energy, hartree per atom: -0.184
Formation energy, eV/atom: -1.09
ΔE to the lowest computed polymorph, eV/f.u.: 0.00

***

# 3
This record from Materials Project describes a relaxed ZrHgO3 crystal. The functional is PBE.

Geometry as POSCAR:
```
ZrHgO3
1.0
-3.397 1.658 -1.796
-2.441 -2.132 2.648
0.134 3.197 2.698
O Hg Zr
3 1 1
direct
0.500 0.500 0.000
0.500 0.000 0.500
0.000 0.500 0.500
0.000 0.000 0.000
0.500 0.500 0.500
```

Computed properties:
Total energy, hartree per atom: -0.240
Formation energy, eV/atom: -2.19

***

# 4
This record from Materials Project describes a relaxed BaMg15 crystal. The functional is PBE.

Geometry as POSCAR:
```
BaMg15
1.0
-0.652 5.374 -3.890
-4.531 -1.266 4.723
5.572 5.639 6.857
Mg Ba
15 1
direct
0.172 0.828 0.236
0.657 0.828 0.236
0.172 0.828 0.764
0.172 0.343 0.236
0.000 0.000 0.000
0.995 0.498 0.000
0.172 0.343 0.764
0.667 0.333 0.744
0.493 0.985 0.500
0.015 0.507 0.500
0.493 0.507 0.500
0.502 0.005 0.000
0.667 0.333 0.256
0.657 0.828 0.764
0.502 0.498 0.000
0.000 0.000 0.500
```

Computed properties:
Total energy, hartree per atom: -0.057
Formation energy, eV/atom: 0.07

***

# 5
This record from Materials Project describes a relaxed UZn20Rh2 crystal. The functional is PBE.

Geometry as POSCAR:
```
UZn20Rh2
1.0
0.000 7.134 7.134
7.134 0.000 7.134
7.134 7.134 0.000
Zn U Rh
40 2 4
direct
0.948 0.422 0.682
0.862 0.138 0.862
0.302 0.828 0.568
0.862 0.138 0.138
0.948 0.682 0.948
0.302 0.568 0.302
0.625 0.625 0.125
0.302 0.302 0.568
0.682 0.948 0.948
0.862 0.862 0.138
0.568 0.302 0.302
0.138 0.138 0.862
0.948 0.948 0.422
0.388 0.388 0.112
0.112 0.388 0.112
0.388 0.112 0.388
0.568 0.828 0.302
0.625 0.625 0.625
0.682 0.948 0.422
0.138 0.862 0.862
0.302 0.568 0.828
0.388 0.112 0.112
0.125 0.625 0.625
0.682 0.422 0.948
0.302 0.828 0.302
0.828 0.568 0.302
0.112 0.388 0.388
0.422 0.682 0.948
0.948 0.682 0.422
0.422 0.948 0.682
0.112 0.112 0.388
0.625 0.125 0.625
0.138 0.862 0.138
0.568 0.302 0.828
0.828 0.302 0.302
0.302 0.302 0.828
0.948 0.948 0.682
0.828 0.302 0.568
0.948 0.422 0.948
0.422 0.948 0.948
0.500 0.500 0.500
0.750 0.750 0.750
0.125 0.625 0.125
0.125 0.125 0.125
0.125 0.125 0.625
0.625 0.125 0.125
```

Computed properties:
Total energy, hartree per atom: -0.089
Formation energy, eV/atom: -0.18

***

# 6
This record from Materials Project describes a relaxed NdAu crystal. The functional is PBE.

Geometry as POSCAR:
```
NdAu
1.0
3.724 0.000 0.000
0.000 3.724 0.000
0.000 0.000 3.724
Au Nd
1 1
direct
0.000 0.000 0.000
0.500 0.500 0.500
```

Computed properties:
Total energy, hartree per atom: -0.176
Formation energy, eV/atom: -0.76

***

# 7
This record from Materials Project describes a relaxed Lu2I2O crystal. The functional is PBE.

Geometry as POSCAR:
```
Lu2I2O
1.0
-3.619 1.607 1.342
-2.012 -3.412 -1.339
2.126 -6.612 13.653
Lu I O
2 2 1
direct
0.500 0.500 0.130
0.500 0.500 0.870
0.500 0.500 0.688
0.500 0.500 0.312
0.500 0.500 0.000
```

Computed properties:
Total energy, hartree per atom: -0.162
Formation energy, eV/atom: -1.13

***

# 8
This record from Materials Project describes a relaxed Mg7Si4 crystal. The functional is PBE.

Geometry as POSCAR:
```
Mg7Si4
1.0
5.369 0.000 0.000
-0.150 5.950 0.000
-0.725 -2.877 13.631
Mg Si
14 8
direct
0.947 0.148 0.778
0.362 0.141 0.286
0.412 0.233 0.075
0.863 0.013 0.976
0.482 0.375 0.873
0.200 0.532 0.667
0.981 0.238 0.453
0.358 0.861 0.868
0.008 0.522 0.996
0.265 0.640 0.283
0.003 0.757 0.492
0.481 0.494 0.474
0.517 0.742 0.098
0.494 0.991 0.478
0.861 0.665 0.814
0.009 0.891 0.157
0.706 0.755 0.654
0.383 0.052 0.680
0.699 0.328 0.632
0.766 0.866 0.303
0.757 0.465 0.310
0.946 0.299 0.158
```

Computed properties:
Total energy, hartree per atom: -0.107
Formation energy, eV/atom: 0.10
ΔE to the lowest computed polymorph, eV/f.u.: 0.58